# GGA+U V2H28C12Cl2O7, relaxed
# **Total energy after the MP2020 corrections**: -5.70 eV/atom
data_V2H28C12Cl2O7
_chemical_formula_sum 'V8 H112 C48 Cl8 O28'
_symmetry_space_group_name_H-M 'P 1 21/c 1'
_symmetry_Int_Tables_number 14
_cell_length_a 8.978
_cell_length_b 11.533
_cell_length_c 23.396
_cell_angle_alpha 90.00
_cell_angle_beta 101.10
_cell_angle_gamma 90.00
loop_
_symmetry_equiv_pos_as_xyz
'x,y,z'
'-x,-y,-z'
'-x,y+1/2,-z+1/2'
'x,-y+1/2,z+1/2'
loop_
_atom_site_label
_atom_site_fract_x
_atom_site_fract_y
_atom_site_fract_z
V1 0.088 0.207 0.390
V2 0.299 0.037 0.331
H1 0.008 0.217 0.761
H2 0.017 0.004 0.052
H3 0.048 0.583 0.392
H4 0.052 0.638 0.917
H5 0.094 0.172 0.225
H6 0.109 0.532 0.259
H7 0.110 0.544 0.684
H8 0.148 0.085 0.104
H9 0.173 0.625 0.628
H10 0.183 0.021 0.484
H11 0.184 0.688 0.978
H12 0.186 0.659 0.297
H13 0.194 0.642 0.222
H14 0.220 0.045 0.623
H15 0.234 0.689 0.908
H16 0.235 0.193 0.646
H17 0.307 0.080 0.696
H18 0.311 0.134 0.815
H19 0.332 0.611 0.544
H20 0.361 0.525 0.969
H21 0.362 0.018 0.903
H22 0.383 0.704 0.086
H23 0.424 0.157 0.586
H24 0.465 0.007 0.122
H25 0.482 0.189 0.461
H26 0.484 0.684 0.840
H27 0.493 0.669 0.679
H28 0.499 0.110 0.985
C1 0.027 0.189 0.259
C2 0.046 0.031 0.098
C3 0.078 0.573 0.639
C4 0.124 0.626 0.255
C5 0.173 0.641 0.937
C6 0.238 0.520 0.951
C7 0.292 0.108 0.650
C8 0.417 0.152 0.846
C9 0.444 0.123 0.631
C10 0.454 0.630 0.554
C11 0.463 0.060 0.893
C12 0.482 0.743 0.072
Cl1 0.189 0.247 0.984
Cl2 0.385 0.114 0.253
O1 0.052 0.146 0.865
O2 0.080 0.664 0.106
O3 0.120 0.154 0.314
O4 0.215 0.057 0.402
O5 0.222 0.582 0.803
O6 0.393 0.244 0.378
O7 0.478 0.515 0.870

---

# GGA+U VH6C2ClO3, relaxed
# **Total energy after the MP2020 corrections**: -5.81 eV/atom
data_VH6C2ClO3
_chemical_formula_sum 'V2 H12 C4 Cl2 O6'
_symmetry_space_group_name_H-M 'P -1'
_symmetry_Int_Tables_number 2
_cell_length_a 6.305
_cell_length_b 6.608
_cell_length_c 8.874
_cell_angle_alpha 83.34
_cell_angle_beta 72.73
_cell_angle_gamma 81.67
loop_
_symmetry_equiv_pos_as_xyz
'x,y,z'
'-x,-y,-z'
loop_
_atom_site_label
_atom_site_fract_x
_atom_site_fract_y
_atom_site_fract_z
V1 0.002 0.012 0.206
H1 0.248 0.404 0.959
H2 0.283 0.627 0.605
H3 0.412 0.223 0.058
H4 0.424 0.835 0.489
H5 0.439 0.204 0.853
H6 0.451 0.327 0.376
C1 0.322 0.243 0.968
C2 0.390 0.745 0.604
Cl1 0.050 0.674 0.265
O1 0.126 0.102 0.313
O2 0.150 0.110 0.009
O3 0.281 0.876 0.728

---

# GGA+U Mn2InC10ClO10, relaxed
# **Total energy after the MP2020 corrections**: -7.67 eV/atom
data_Mn2InC10ClO10
_chemical_formula_sum 'Mn4 In2 C20 Cl2 O20'
_symmetry_space_group_name_H-M 'P -1'
_symmetry_Int_Tables_number 2
_cell_length_a 8.835
_cell_length_b 9.965
_cell_length_c 10.483
_cell_angle_alpha 116.74
_cell_angle_beta 91.71
_cell_angle_gamma 93.32
loop_
_symmetry_equiv_pos_as_xyz
'x,y,z'
'-x,-y,-z'
loop_
_atom_site_label
_atom_site_fract_x
_atom_site_fract_y
_atom_site_fract_z
Mn1 0.240 0.241 0.405
Mn2 0.245 0.723 0.075
In1 0.153 0.004 0.148
C1 0.036 0.279 0.425
C2 0.087 0.720 0.187
C3 0.115 0.673 0.917
C4 0.206 0.101 0.476
C5 0.268 0.359 0.310
C6 0.295 0.528 0.004
C7 0.307 0.396 0.577
C8 0.378 0.787 0.236
C9 0.393 0.787 0.989
C10 0.434 0.178 0.362
Cl1 0.146 0.044 0.918
O1 0.012 0.283 0.743
O2 0.039 0.636 0.813
O3 0.090 0.694 0.556
O4 0.186 0.015 0.520
O5 0.290 0.439 0.259
O6 0.329 0.405 0.953
O7 0.353 0.496 0.684
O8 0.443 0.858 0.660
O9 0.461 0.822 0.336
O10 0.489 0.825 0.937

---

# GGA+U MnC4ClO4, relaxed
# **Total energy after the MP2020 corrections**: -7.56 eV/atom
data_MnC4ClO4
_chemical_formula_sum 'Mn8 C32 Cl8 O32'
_symmetry_space_group_name_H-M 'P 1 21/c 1'
_symmetry_Int_Tables_number 14
_cell_length_a 9.716
_cell_length_b 11.974
_cell_length_c 13.071
_cell_angle_alpha 90.00
_cell_angle_beta 109.58
_cell_angle_gamma 90.00
loop_
_symmetry_equiv_pos_as_xyz
'x,y,z'
'-x,-y,-z'
'-x,y+1/2,-z+1/2'
'x,-y+1/2,z+1/2'
loop_
_atom_site_label
_atom_site_fract_x
_atom_site_fract_y
_atom_site_fract_z
Mn1 0.094 0.120 0.325
Mn2 0.311 0.626 0.277
C1 0.087 0.033 0.203
C2 0.095 0.209 0.445
C3 0.232 0.027 0.415
C4 0.237 0.207 0.304
C5 0.305 0.718 0.158
C6 0.306 0.535 0.393
C7 0.448 0.717 0.370
C8 0.453 0.539 0.256
Cl1 0.105 0.734 0.293
Cl2 0.112 0.514 0.158
O1 0.085 0.519 0.628
O2 0.099 0.236 0.019
O3 0.304 0.725 0.587
O4 0.307 0.022 0.964
O5 0.320 0.532 0.971
O6 0.330 0.239 0.792
O7 0.455 0.515 0.757
O8 0.463 0.228 0.570

---

# GGA+U MnC5ClO5, relaxed
# **Total energy after the MP2020 corrections**: -7.63 eV/atom
data_MnC5ClO5
_chemical_formula_sum 'Mn4 C20 Cl4 O20'
_symmetry_space_group_name_H-M 'P n m a'
_symmetry_Int_Tables_number 62
_cell_length_a 11.680
_cell_length_b 11.629
_cell_length_c 6.031
_cell_angle_alpha 90.00
_cell_angle_beta 90.00
_cell_angle_gamma 90.00
loop_
_symmetry_equiv_pos_as_xyz
'x,y,z'
'-x,-y,-z'
'-x+1/2,-y,z+1/2'
'x+1/2,y,-z+1/2'
'x+1/2,-y+1/2,-z+1/2'
'-x+1/2,y+1/2,z+1/2'
'-x,y+1/2,-z'
'x,-y+1/2,z'
loop_
_atom_site_label
_atom_site_fract_x
_atom_site_fract_y
_atom_site_fract_z
Mn1 0.122 0.250 0.050
C1 0.028 0.250 0.807
C2 0.035 0.133 0.188
C3 0.218 0.135 0.926
Cl1 0.245 0.250 0.371
O1 0.017 0.559 0.735
O2 0.032 0.750 0.346
O3 0.225 0.563 0.354

---

How do the records compare in DFT formation energy? In the order shown, they have -0.56 -0.84 -0.80 -0.79 -0.81 eV/atom.